[1]
The following is a DFT calculation (GGA-PBE) of an optimized crystal structure of SiH12C4N10F6.

Cell and atoms, written as POSCAR:
```
SiH12C4N10F6
1.0
6.189 0.000 0.000
-2.486 7.215 0.000
-2.205 -2.281 6.980
Si H C N F
1 12 4 10 6
Cartesian
0.000 0.000 0.000 Si
-2.608 2.339 5.953 H
-0.513 0.235 3.092 H
0.255 -1.630 5.194 H
0.518 3.474 2.051 H
1.389 2.475 0.902 H
2.125 -0.351 2.330 H
-0.626 5.285 4.650 H
0.110 2.458 6.078 H
0.981 1.459 4.929 H
1.244 6.563 1.786 H
2.011 4.699 3.888 H
4.107 2.595 1.027 H
-2.091 4.531 3.447 C
-1.079 1.358 4.830 C
2.578 3.576 2.150 C
3.590 0.403 3.533 C
-2.316 1.670 5.232 N
-1.241 0.539 3.755 N
-1.396 3.834 2.565 N
-1.615 5.353 4.411 N
0.086 1.723 5.365 N
1.413 3.211 1.615 N
3.114 -0.420 2.569 N
2.895 1.099 4.416 N
2.740 4.394 3.225 N
3.815 3.263 1.748 N
-3.729 3.563 6.643 F
0.381 -0.143 1.685 F
-0.835 -1.264 6.753 F
2.334 6.197 0.227 F
1.118 5.076 5.295 F
5.228 1.370 0.337 F
```

Results
E_form   -20.764 kcal/mol of atoms
E   -6.207 eV/atom

[2]
The following is a DFT calculation (GGA-PBE) of an optimized crystal structure of Ho3Al12Os4.

Cell and atoms, written as POSCAR:
```
Ho3Al12Os4
1.0
8.834 0.000 0.000
-4.417 7.650 0.000
0.000 0.000 9.566
Ho Al Os
6 24 8
Cartesian
0.000 2.958 2.391 Ho
-1.855 6.171 2.391 Ho
2.561 1.479 7.174 Ho
1.855 6.171 2.391 Ho
6.272 1.479 7.174 Ho
4.417 4.692 7.174 Ho
0.000 0.000 2.391 Al
0.000 0.000 7.174 Al
-1.415 4.283 7.174 Al
0.000 2.489 5.512 Al
0.000 2.489 8.837 Al
-2.261 6.405 5.512 Al
-2.261 6.405 8.837 Al
2.156 1.245 0.729 Al
2.156 1.245 4.054 Al
0.000 5.100 0.148 Al
0.000 5.100 4.635 Al
1.415 4.283 7.174 Al
0.000 6.734 7.174 Al
4.417 0.916 2.391 Al
3.002 3.367 2.391 Al
4.417 2.550 4.931 Al
4.417 2.550 9.418 Al
2.261 6.405 5.512 Al
2.261 6.405 8.837 Al
6.678 1.245 0.729 Al
6.678 1.245 4.054 Al
4.417 5.161 0.729 Al
4.417 5.161 4.054 Al
5.832 3.367 2.391 Al
0.000 0.000 0.000 Os
0.000 0.000 4.783 Os
-2.208 3.825 0.000 Os
-2.208 3.825 4.783 Os
4.417 0.000 0.000 Os
4.417 0.000 4.783 Os
2.208 3.825 0.000 Os
2.208 3.825 4.783 Os
```

Results
E_form   -13.577 kcal/mol of atoms
E   -6.042 eV/atom

[3]
The following is a DFT calculation (GGA-PBE) of an optimized crystal structure of NaNdH2S2O9.

Cell and atoms, written as POSCAR:
```
NaNdH2S2O9
1.0
7.064 0.000 0.000
-3.532 6.118 0.000
0.000 0.000 12.978
Na Nd H S O
3 3 6 6 27
Cartesian
-1.671 2.894 2.163 Na
3.342 0.000 10.815 Na
1.861 3.224 6.489 Na
-1.548 2.682 8.652 Nd
3.097 0.000 4.326 Nd
1.984 3.436 0.000 Nd
-3.037 5.803 0.518 H
0.026 0.586 4.844 H
0.495 0.315 8.134 H
3.012 5.847 9.170 H
6.544 0.271 12.460 H
3.558 5.532 3.808 H
-1.524 2.776 11.811 S
-0.366 6.050 7.485 S
3.166 0.068 1.167 S
1.891 3.410 3.159 S
2.008 3.342 9.818 S
5.423 2.708 5.493 S
-0.305 0.528 8.652 O
0.610 0.000 4.326 O
-1.300 3.781 4.529 O
-0.466 2.372 6.363 O
-1.345 3.924 10.874 O
-0.289 2.509 12.595 O
-1.215 5.113 8.269 O
-1.245 5.336 2.038 O
0.806 2.990 2.222 O
0.907 3.101 8.855 O
2.287 0.782 6.614 O
2.317 1.004 0.382 O
2.187 2.194 10.756 O
0.393 5.353 0.203 O
2.232 2.337 4.123 O
0.539 5.321 6.548 O
1.504 4.613 3.943 O
1.711 4.528 10.689 O
3.925 0.765 8.449 O
4.071 0.797 2.104 O
3.066 3.746 2.288 O
3.243 3.609 9.034 O
5.036 1.504 4.708 O
4.338 3.127 6.430 O
5.243 1.589 10.940 O
4.440 3.016 12.774 O
3.227 5.589 0.000 O
```

Results
E_form   -52.459 kcal/mol of atoms
E   -6.241 eV/atom

[4]
The following is a DFT calculation (GGA-PBE) of an optimized crystal structure of Dy12Co5Bi.

Cell and atoms, written as POSCAR:
```
Dy12Co5Bi
1.0
-4.693 4.710 4.917
4.693 -4.710 4.917
4.693 4.710 -4.917
Dy Co Bi
12 5 1
Cartesian
4.693 2.861 -2.847 Dy
2.676 1.717 0.000 Dy
6.710 1.717 0.000 Dy
1.805 4.710 -1.849 Dy
2.888 0.000 3.068 Dy
0.000 1.849 2.070 Dy
4.693 2.861 2.847 Dy
1.805 4.710 1.849 Dy
2.888 0.000 6.766 Dy
-2.017 2.993 4.917 Dy
2.017 2.993 4.917 Dy
0.000 1.849 7.763 Dy
0.000 0.000 0.000 Co
4.693 0.000 1.099 Co
0.000 3.537 0.000 Co
0.000 5.883 0.000 Co
0.000 4.710 3.818 Co
0.000 0.000 4.917 Bi
```

Results
E_form   -6.406 kcal/mol of atoms
E   -5.540 eV/atom

[5]
The following is a DFT calculation (GGA-PBE) of an optimized crystal structure of Rb2NaInBr6.

Cell and atoms, written as POSCAR:
```
Rb2NaInBr6
1.0
0.000 5.624 5.624
5.624 0.000 5.624
5.624 5.624 0.000
Rb Na In Br
2 1 1 6
Cartesian
2.812 2.812 2.812 Rb
8.436 8.436 8.436 Rb
0.000 0.000 0.000 Na
5.624 5.624 5.624 In
5.624 5.624 2.917 Br
5.624 2.917 5.624 Br
8.330 5.624 5.624 Br
2.917 5.624 5.624 Br
5.624 8.330 5.624 Br
5.624 5.624 8.330 Br
```

Results
E_form   -38.741 kcal/mol of atoms
E   -2.945 eV/atom

[6]
The following is a DFT calculation (GGA-PBE) of an optimized crystal structure of TlPd3.

Cell and atoms, written as POSCAR:
```
TlPd3
1.0
-2.084 2.084 7.885
2.084 -2.084 7.885
2.084 2.084 -7.885
Tl Pd
2 6
Cartesian
0.000 0.000 1.970 Tl
0.000 0.000 13.799 Tl
2.084 0.000 0.000 Pd
2.084 0.000 3.942 Pd
0.000 0.000 5.892 Pd
0.000 2.084 0.000 Pd
0.000 0.000 9.877 Pd
0.000 2.084 3.942 Pd
```

Results
E_form   -5.138 kcal/mol of atoms
E   -4.698 eV/atom

[7]
The following is a DFT calculation (GGA-PBE) of an optimized crystal structure of SrCa2In2Ge.

Cell and atoms, written as POSCAR:
```
SrCa2In2Ge
1.0
2.447 -6.117 0.000
2.447 6.117 0.000
0.000 0.000 14.178
Sr Ca In Ge
2 4 4 2
Cartesian
2.447 4.150 10.633 Sr
2.447 -4.150 3.544 Sr
2.447 4.532 1.349 Ca
2.447 4.532 5.740 Ca
2.447 -4.532 8.438 Ca
2.447 -4.532 12.829 Ca
2.447 1.038 1.143 In
2.447 1.038 5.946 In
2.447 -1.038 8.232 In
2.447 -1.038 13.035 In
2.447 0.725 10.633 Ge
2.447 -0.725 3.544 Ge
```

Results
E_form   -9.801 kcal/mol of atoms
E   -3.063 eV/atom

[8]
The following is a DFT calculation (GGA-PBE) of an optimized crystal structure of MnInFe.

Cell and atoms, written as POSCAR:
```
MnInFe
1.0
4.489 0.000 0.000
-2.245 3.888 0.000
0.000 0.000 5.462
Mn In Fe
2 2 2
Cartesian
0.000 0.000 0.000 Mn
0.000 0.000 2.731 Mn
0.000 2.592 1.366 In
2.245 1.296 4.097 In
0.000 2.592 4.097 Fe
2.245 1.296 1.366 Fe
```

Results
E_form   6.695 kcal/mol of atoms
E   -6.504 eV/atom